No. 1
6
Lattice="6.043 0.000 0.000 -3.022 5.234 0.000 0.000 0.000 5.637" Properties=species:S:1:pos:R:3 comment="PBE Y2Mg, optimized geometry" delta_e_f_ev_per_atom=0.0574 spacegroup="P-62m (189)" dft_energy_ev_per_atom=-4.7870 rho_g_cm3=3.76 pbc="T T T"
Y 0.000 0.000 0.000
Y -1.983 3.434 2.818
Y 1.039 1.799 2.818
Y 3.966 0.000 2.818
Mg 0.000 3.489 0.000
Mg 3.022 1.745 0.000

No. 2
29
Lattice="7.950 4.590 3.239 -7.950 4.590 3.239 0.000 -9.179 3.239" Properties=species:S:1:pos:R:3 comment="PBE Y4Mg25, optimized geometry" delta_e_f_ev_per_atom=-0.0403 spacegroup="R3m (160)" dft_energy_ev_per_atom=-2.3118 rho_g_cm3=2.26 pbc="T T T"
Y 0.000 0.000 0.000
Y 0.000 -3.427 1.214
Y -2.968 1.713 1.214
Y 2.968 1.713 1.214
Mg -5.006 -4.547 4.670
Mg -6.441 -2.062 4.670
Mg -2.572 -4.095 3.035
Mg -4.833 -0.180 3.035
Mg -1.519 -0.877 2.992
Mg 0.000 -5.777 3.898
Mg -5.003 2.888 3.898
Mg -3.123 -1.803 5.314
Mg 2.572 -4.095 3.035
Mg -2.261 4.275 3.035
Mg 1.519 -0.877 2.992
Mg 0.000 1.754 2.992
Mg 0.000 -2.933 4.859
Mg -2.540 1.467 4.859
Mg 4.833 -0.180 3.035
Mg 2.261 4.275 3.035
Mg 5.006 -4.547 4.670
Mg -1.434 6.609 4.670
Mg 0.000 0.000 6.140
Mg 3.123 -1.803 5.314
Mg 0.000 3.606 5.314
Mg 2.540 1.467 4.859
Mg 6.441 -2.062 4.670
Mg 1.434 6.609 4.670
Mg 5.003 2.888 3.898

No. 3
12
Lattice="12.804 0.000 0.000 0.000 5.237 0.000 0.000 0.000 5.236" Properties=species:S:1:pos:R:3 comment="PBE Y2Mg, optimized geometry" delta_e_f_ev_per_atom=-0.0546 dft_energy_ev_per_atom=-4.8990 rho_g_cm3=3.82 pbc="T T T"
Y 2.001 1.291 3.927
Y 4.401 3.910 3.927
Y 2.001 3.946 1.309
Y 4.401 1.327 1.309
Y 8.403 3.910 3.927
Y 10.803 1.291 3.927
Y 8.403 1.327 1.309
Y 10.803 3.946 1.309
Mg 0.000 3.879 3.927
Mg 0.000 1.358 1.309
Mg 6.402 1.260 3.927
Mg 6.402 3.977 1.309